Arrangement a

First-principles (PBE-GGA) data for a relaxed structure of RbMg6SiO8, as listed in Materials Project.

Properties
- space group = P4/mmm

Unit cell a=8.3654 b=4.6942 c=4.6942 alpha=90.00 beta=90.00 gamma=90.00
Sites, in units of the cell vectors:
1 Rb 0.5000 0.0000 0.0000
2 Mg 0.0000 0.5000 0.5000
3 Mg 0.5000 0.5000 0.5000
4 Mg 0.2510 0.0000 0.5000
5 Mg 0.7490 0.0000 0.5000
6 Mg 0.2510 0.5000 0.0000
7 Mg 0.7490 0.5000 0.0000
8 Si 0.0000 0.0000 0.0000
9 O 0.2019 0.0000 0.0000
10 O 0.7981 0.0000 0.0000
11 O 0.2479 0.5000 0.5000
12 O 0.7521 0.5000 0.5000
13 O 0.0000 0.0000 0.5000
14 O 0.5000 0.0000 0.5000
15 O 0.0000 0.5000 0.0000
16 O 0.5000 0.5000 0.0000

=====

Arrangement b

First-principles (PBE-GGA) data for a relaxed structure of RbMg6SiO8, as listed in Materials Project.

Properties
- space group = P4/mmm

Unit cell a=8.7366 b=4.5603 c=4.5603 alpha=90.00 beta=90.00 gamma=90.00
Sites, in units of the cell vectors:
1 Rb 0.0000 0.5000 0.5000
2 Mg 0.5000 0.0000 0.0000
3 Mg 0.5000 0.5000 0.5000
4 Mg 0.2557 0.0000 0.5000
5 Mg 0.7443 0.0000 0.5000
6 Mg 0.2557 0.5000 0.0000
7 Mg 0.7443 0.5000 0.0000
8 Si 0.0000 0.0000 0.0000
9 O 0.2342 0.0000 0.0000
10 O 0.7658 0.0000 0.0000
11 O 0.2817 0.5000 0.5000
12 O 0.7183 0.5000 0.5000
13 O 0.0000 0.0000 0.5000
14 O 0.5000 0.0000 0.5000
15 O 0.0000 0.5000 0.0000
16 O 0.5000 0.5000 0.0000

=====

Top of the stability list: arrangement a, leading by 89 meV per atom.

=====

Arrangement a

First-principles (PBE-GGA) data for a relaxed structure of RbMg14TiO16, as listed in Materials Project.

Properties
- space group = P4/mmm

Unit cell a=8.6888 b=8.6888 c=4.4430 alpha=90.00 beta=90.00 gamma=90.00
Sites, in units of the cell vectors:
1 Rb 0.5000 0.5000 0.0000
2 Mg 0.0000 0.5000 0.0000
3 Mg 0.5000 0.0000 0.0000
4 Mg 0.0000 0.2543 0.5000
5 Mg 0.0000 0.7457 0.5000
6 Mg 0.5000 0.2466 0.5000
7 Mg 0.5000 0.7534 0.5000
8 Mg 0.2543 0.0000 0.5000
9 Mg 0.2466 0.5000 0.5000
10 Mg 0.7457 0.0000 0.5000
11 Mg 0.7534 0.5000 0.5000
12 Mg 0.2522 0.2522 0.0000
13 Mg 0.2522 0.7478 0.0000
14 Mg 0.7478 0.2522 0.0000
15 Mg 0.7478 0.7478 0.0000
16 Ti 0.0000 0.0000 0.0000
17 O 0.2381 0.0000 0.0000
18 O 0.2187 0.5000 0.0000
19 O 0.7619 0.0000 0.0000
20 O 0.7813 0.5000 0.0000
21 O 0.2485 0.2485 0.5000
22 O 0.2485 0.7515 0.5000
23 O 0.7515 0.2485 0.5000
24 O 0.7515 0.7515 0.5000
25 O 0.0000 0.0000 0.5000
26 O 0.0000 0.5000 0.5000
27 O 0.5000 0.0000 0.5000
28 O 0.5000 0.5000 0.5000
29 O 0.0000 0.2381 0.0000
30 O 0.0000 0.7619 0.0000
31 O 0.5000 0.2187 0.0000
32 O 0.5000 0.7813 0.0000

=====

Arrangement b

First-principles (PBE-GGA) data for a relaxed structure of RbMg14TiO16, as listed in Materials Project.

Properties
- space group = Pmmm

Unit cell a=8.7087 b=8.6458 c=4.4695 alpha=90.00 beta=90.00 gamma=90.00
Sites, in units of the cell vectors:
1 Rb 0.0000 0.5000 0.0000
2 Mg 0.5000 0.0000 0.0000
3 Mg 0.5000 0.5000 0.0000
4 Mg 0.0000 0.2530 0.5000
5 Mg 0.0000 0.7470 0.5000
6 Mg 0.5000 0.2508 0.5000
7 Mg 0.5000 0.7492 0.5000
8 Mg 0.2522 0.0000 0.5000
9 Mg 0.2548 0.5000 0.5000
10 Mg 0.7478 0.0000 0.5000
11 Mg 0.7452 0.5000 0.5000
12 Mg 0.2590 0.2515 0.0000
13 Mg 0.2590 0.7485 0.0000
14 Mg 0.7410 0.2515 0.0000
15 Mg 0.7410 0.7485 0.0000
16 Ti 0.0000 0.0000 0.0000
17 O 0.2523 0.0000 0.0000
18 O 0.2806 0.5000 0.0000
19 O 0.7477 0.0000 0.0000
20 O 0.7194 0.5000 0.0000
21 O 0.2488 0.2490 0.5000
22 O 0.2488 0.7510 0.5000
23 O 0.7512 0.2490 0.5000
24 O 0.7512 0.7510 0.5000
25 O 0.0000 0.0000 0.5000
26 O 0.0000 0.5000 0.5000
27 O 0.5000 0.0000 0.5000
28 O 0.5000 0.5000 0.5000
29 O 0.0000 0.2180 0.0000
30 O 0.0000 0.7820 0.0000
31 O 0.5000 0.2416 0.0000
32 O 0.5000 0.7584 0.0000

=====

Top of the stability list: arrangement b, leading by 13 meV per atom.

=====

Arrangement a

First-principles (PBE-GGA) data for a relaxed structure of RbYMg14O16, as listed in Materials Project.

Properties
- space group = Pmmm

Unit cell a=4.4961 b=8.7152 c=8.9539 alpha=90.00 beta=90.00 gamma=90.00
Sites, in units of the cell vectors:
1 Rb 0.0000 0.0000 0.5000
2 Y 0.0000 0.0000 0.0000
3 Mg 0.0000 0.5000 0.0000
4 Mg 0.0000 0.5000 0.5000
5 Mg 0.5000 0.0000 0.2623
6 Mg 0.5000 0.0000 0.7377
7 Mg 0.5000 0.5000 0.2528
8 Mg 0.5000 0.5000 0.7472
9 Mg 0.5000 0.2620 0.0000
10 Mg 0.5000 0.2556 0.5000
11 Mg 0.5000 0.7380 0.0000
12 Mg 0.5000 0.7444 0.5000
13 Mg 0.0000 0.2593 0.2570
14 Mg 0.0000 0.2593 0.7430
15 Mg 0.0000 0.7407 0.2570
16 Mg 0.0000 0.7407 0.7430
17 O 0.0000 0.2625 0.0000
18 O 0.0000 0.2817 0.5000
19 O 0.0000 0.7375 0.0000
20 O 0.0000 0.7183 0.5000
21 O 0.5000 0.2502 0.2488
22 O 0.5000 0.2502 0.7512
23 O 0.5000 0.7498 0.2488
24 O 0.5000 0.7498 0.7512
25 O 0.5000 0.0000 0.0000
26 O 0.5000 0.0000 0.5000
27 O 0.5000 0.5000 0.0000
28 O 0.5000 0.5000 0.5000
29 O 0.0000 0.0000 0.2348
30 O 0.0000 0.0000 0.7652
31 O 0.0000 0.5000 0.2431
32 O 0.0000 0.5000 0.7569

=====

Arrangement b

First-principles (PBE-GGA) data for a relaxed structure of RbYMg14O16, as listed in Materials Project.

Properties
- space group = P4/mmm

Unit cell a=8.7791 b=8.7791 c=4.5053 alpha=90.00 beta=90.00 gamma=90.00
Sites, in units of the cell vectors:
1 Rb 0.5000 0.5000 0.0000
2 Y 0.0000 0.0000 0.0000
3 Mg 0.5000 0.0000 0.0000
4 Mg 0.0000 0.5000 0.0000
5 Mg 0.2635 0.0000 0.5000
6 Mg 0.7365 0.0000 0.5000
7 Mg 0.2485 0.5000 0.5000
8 Mg 0.7515 0.5000 0.5000
9 Mg 0.0000 0.2635 0.5000
10 Mg 0.5000 0.2485 0.5000
11 Mg 0.0000 0.7365 0.5000
12 Mg 0.5000 0.7515 0.5000
13 Mg 0.2559 0.2559 0.0000
14 Mg 0.7441 0.2559 0.0000
15 Mg 0.2559 0.7441 0.0000
16 Mg 0.7441 0.7441 0.0000
17 O 0.0000 0.2540 0.0000
18 O 0.5000 0.2201 0.0000
19 O 0.0000 0.7460 0.0000
20 O 0.5000 0.7799 0.0000
21 O 0.2478 0.2478 0.5000
22 O 0.7522 0.2478 0.5000
23 O 0.2478 0.7522 0.5000
24 O 0.7522 0.7522 0.5000
25 O 0.0000 0.0000 0.5000
26 O 0.5000 0.0000 0.5000
27 O 0.0000 0.5000 0.5000
28 O 0.5000 0.5000 0.5000
29 O 0.2540 0.0000 0.0000
30 O 0.7460 0.0000 0.0000
31 O 0.2201 0.5000 0.0000
32 O 0.7799 0.5000 0.0000

=====

Top of the stability list: arrangement b, leading by 18 meV per atom.